1.
Entry from Materials Project: a geometry-optimized LiMnP2O7 structure (GGA+U).

Computed properties:
- Relative energy among the computed polymorphs: 0.144 eV/atom
- Total energy after the MP2020 corrections: -0.55570 Ry per atom
- E_tot: -6.9718 eV/atom
- Energy relative to the elements: -26.63 eV/f.u.

Lattice parameters (Å, degrees): 8.3527 4.8088 7.1171 70.70 90.00 90.00
Sites, in units of the cell vectors:
Li 0.8817 0.8179 0.1805
Li 0.3817 0.1821 0.8195
Mn 0.7432 0.2111 0.7735
Mn 0.2432 0.7889 0.2265
P 0.9539 0.7888 0.5943
P 0.5632 0.5998 0.0125
P 0.0632 0.4002 0.9875
P 0.4539 0.2112 0.4057
O 0.5690 0.3891 0.8898
O 0.5368 0.1373 0.6055
O 0.5846 0.4000 0.2440
O 0.7086 0.8089 0.9779
O 0.9144 0.0660 0.6468
O 0.4144 0.9340 0.3532
O 0.4030 0.7571 0.9881
O 0.2086 0.1911 0.0221
O 0.0690 0.6109 0.1102
O 0.9030 0.2429 0.0119
O 0.8026 0.6020 0.6019
O 0.3026 0.3980 0.3981
O 0.0846 0.6000 0.7560
O 0.0368 0.8627 0.3945

2.
Entry from Materials Project: a geometry-optimized LiMn3P6O20 structure (GGA+U).

Computed properties:
- Relative energy among the computed polymorphs: 0.000 eV/atom
- Total energy after the MP2020 corrections: -0.57645 Ry per atom
- E_tot: -7.2182 eV/atom
- Energy relative to the elements: -74.45 eV/f.u.

Lattice parameters (Å, degrees): 8.3979 8.3979 12.0126 90.00 90.00 105.13
Sites, in units of the cell vectors:
Li 0.5690 0.5690 0.0000
Li 0.4310 0.4310 0.5000
Mn 0.1414 0.1414 0.5000
Mn 0.7064 0.2936 0.2500
Mn 0.7617 0.2383 0.7500
Mn 0.2936 0.7064 0.7500
Mn 0.2383 0.7617 0.2500
Mn 0.8586 0.8586 0.0000
P 0.0945 0.3682 0.1797
P 0.3682 0.0945 0.8203
P 0.1901 0.3156 0.7231
P 0.3156 0.1901 0.2769
P 0.1516 0.7359 0.5127
P 0.7359 0.1516 0.4873
P 0.8484 0.2641 0.0127
P 0.2641 0.8484 0.9873
P 0.8099 0.6844 0.2231
P 0.6844 0.8099 0.7769
P 0.9055 0.6318 0.6797
P 0.6318 0.9055 0.3203
O 0.1757 0.2147 0.1875
O 0.2147 0.1757 0.8125
O 0.0346 0.3656 0.0529
O 0.3656 0.0346 0.9471
O 0.2862 0.3002 0.6166
O 0.3002 0.2862 0.3834
O 0.6712 0.0553 0.2431
O 0.0553 0.6712 0.7569
O 0.4779 0.2690 0.2158
O 0.2690 0.4779 0.7842
O 0.9933 0.7253 0.2020
O 0.7253 0.9933 0.7980
O 0.2286 0.5224 0.1984
O 0.5224 0.2286 0.8016
O 0.1655 0.6723 0.3953
O 0.6723 0.1655 0.6047
O 0.0852 0.8381 0.9737
O 0.8381 0.0852 0.0263
O 0.2712 0.6723 0.5890
O 0.6723 0.2712 0.4110
O 0.7288 0.3277 0.0890
O 0.3277 0.7288 0.9110
O 0.9148 0.1619 0.4737
O 0.1619 0.9148 0.5263
O 0.8345 0.3277 0.8953
O 0.3277 0.8345 0.1047
O 0.7714 0.4776 0.6984
O 0.4776 0.7714 0.3016
O 0.0067 0.2747 0.7020
O 0.2747 0.0067 0.2980
O 0.5221 0.7310 0.7158
O 0.7310 0.5221 0.2842
O 0.9447 0.3288 0.2569
O 0.3288 0.9447 0.7431
O 0.7138 0.6998 0.1166
O 0.6998 0.7138 0.8834
O 0.9654 0.6344 0.5529
O 0.6344 0.9654 0.4471
O 0.8243 0.7853 0.6875
O 0.7853 0.8243 0.3125

3.
Entry from Materials Project: a geometry-optimized Li3Mn2P4O14 structure (GGA+U).

Computed properties:
- Relative energy among the computed polymorphs: 0.027 eV/atom
- Total energy after the MP2020 corrections: -0.55778 Ry per atom
- E_tot: -7.0257 eV/atom
- Energy relative to the elements: -59.57 eV/f.u.

Lattice parameters (Å, degrees): 9.8294 9.8410 11.3817 89.72 76.79 89.57
Sites, in units of the cell vectors:
Li 0.8846 0.2812 0.4477
Li 0.8191 0.5858 0.5498
Li 0.9123 0.8913 0.0267
Li 0.6567 0.0969 0.9581
Li 0.5875 0.3941 0.9703
Li 0.6512 0.0673 0.4677
Li 0.3488 0.9327 0.5323
Li 0.4125 0.6059 0.0297
Li 0.3433 0.9031 0.0419
Li 0.0877 0.1087 0.9733
Li 0.1809 0.4142 0.4502
Li 0.1154 0.7188 0.5523
Mn 0.7977 0.0748 0.6717
Mn 0.7430 0.7827 0.8253
Mn 0.7583 0.2893 0.1739
Mn 0.7047 0.5796 0.3228
Mn 0.2953 0.4204 0.6772
Mn 0.2417 0.7107 0.8261
Mn 0.2570 0.2173 0.1747
Mn 0.2023 0.9252 0.3283
P 0.9759 0.5479 0.7537
P 0.8819 0.2902 0.8882
P 0.9387 0.0690 0.2424
P 0.8780 0.8503 0.4244
P 0.6196 0.3532 0.5780
P 0.5616 0.5696 0.7584
P 0.4767 0.9498 0.7561
P 0.6180 0.7925 0.1099
P 0.3820 0.2075 0.8901
P 0.5233 0.0502 0.2439
P 0.4384 0.4304 0.2416
P 0.3804 0.6468 0.4220
P 0.1220 0.1497 0.5756
P 0.0613 0.9310 0.7576
P 0.1181 0.7098 0.1118
P 0.0241 0.4521 0.2463
O 0.9771 0.5801 0.6230
O 0.9693 0.1621 0.5615
O 0.9147 0.9129 0.7314
O 0.8943 0.6504 0.8447
O 0.9019 0.4038 0.7804
O 0.8156 0.1704 0.8342
O 0.7703 0.3470 0.9964
O 0.9797 0.7349 0.0824
O 0.8833 0.9218 0.2952
O 0.9351 0.0648 0.1106
O 0.8706 0.4635 0.2262
O 0.8201 0.7083 0.4132
O 0.8346 0.1771 0.3101
O 0.7869 0.9421 0.5186
O 0.7205 0.4361 0.4811
O 0.6714 0.6744 0.6957
O 0.6812 0.2097 0.5830
O 0.6292 0.9599 0.7828
O 0.6226 0.4225 0.7058
O 0.5589 0.5644 0.8912
O 0.5206 0.2255 0.9236
O 0.7231 0.8601 0.0003
O 0.6777 0.6706 0.1633
O 0.5942 0.9028 0.2186
O 0.5828 0.4127 0.2726
O 0.6088 0.1449 0.1468
O 0.4803 0.9203 0.6270
O 0.5324 0.6497 0.4326
O 0.4676 0.3503 0.5674
O 0.5197 0.0797 0.3730
O 0.3912 0.8551 0.8532
O 0.4172 0.5873 0.7274
O 0.4058 0.0972 0.7814
O 0.3223 0.3294 0.8367
O 0.2769 0.1399 0.9997
O 0.4794 0.7745 0.0764
O 0.4411 0.4356 0.1088
O 0.3774 0.5775 0.2942
O 0.3708 0.0401 0.2172
O 0.3188 0.7903 0.4170
O 0.3286 0.3256 0.3043
O 0.2795 0.5639 0.5189
O 0.2131 0.0579 0.4814
O 0.1654 0.8229 0.6899
O 0.1799 0.2917 0.5868
O 0.1294 0.5365 0.7738
O 0.0649 0.9352 0.8894
O 0.1167 0.0782 0.7048
O 0.0203 0.2651 0.9176
O 0.2297 0.6530 0.0036
O 0.1844 0.8296 0.1658
O 0.0981 0.5962 0.2196
O 0.1057 0.3496 0.1553
O 0.0853 0.0871 0.2686
O 0.0307 0.8379 0.4385
O 0.0229 0.4199 0.3770

4.
Entry from Materials Project: a geometry-optimized LiMnPO4 structure (GGA+U).

Computed properties:
- Relative energy among the computed polymorphs: 0.091 eV/atom
- Total energy after the MP2020 corrections: -0.56781 Ry per atom
- E_tot: -7.0946 eV/atom
- Energy relative to the elements: -17.80 eV/f.u.

Lattice parameters (Å, degrees): 7.4930 8.8851 17.6505 60.72 90.00 90.00
Sites, in units of the cell vectors:
Li 0.9816 0.2949 0.9289
Li 0.0192 0.6439 0.5866
Li 0.0050 0.0018 0.2378
Li 0.5050 0.9982 0.2622
Li 0.5192 0.3561 0.9134
Li 0.4816 0.7051 0.5711
Li 0.5184 0.2949 0.4289
Li 0.4808 0.6439 0.0866
Li 0.4950 0.0018 0.7378
Li 0.9950 0.9982 0.7622
Li 0.9808 0.3561 0.4134
Li 0.0184 0.7051 0.0711
Mn 0.6908 0.6514 0.4089
Mn 0.8036 0.3181 0.7628
Mn 0.6859 0.0140 0.0823
Mn 0.1859 0.9860 0.4177
Mn 0.3036 0.6819 0.7372
Mn 0.1908 0.3486 0.0911
Mn 0.8092 0.6514 0.9089
Mn 0.6964 0.3181 0.2628
Mn 0.8141 0.0140 0.5823
Mn 0.3141 0.9860 0.9177
Mn 0.1964 0.6819 0.2372
Mn 0.3092 0.3486 0.5911
P 0.2600 0.6490 0.4080
P 0.2288 0.3108 0.7699
P 0.2571 0.0374 0.0740
P 0.7571 0.9626 0.4260
P 0.7288 0.6892 0.7301
P 0.7600 0.3510 0.0920
P 0.2400 0.6490 0.9080
P 0.2712 0.3108 0.2699
P 0.2429 0.0374 0.5740
P 0.7429 0.9626 0.9260
P 0.7712 0.6892 0.2301
P 0.7400 0.3510 0.5920
O 0.4369 0.5662 0.3991
O 0.8885 0.4110 0.6334
O 0.3853 0.2540 0.8365
O 0.2172 0.5920 0.5043
O 0.7840 0.0934 0.9583
O 0.7631 0.7966 0.2786
O 0.2601 0.9413 0.1751
O 0.0543 0.2648 0.8248
O 0.4388 0.1293 0.0373
O 0.2321 0.5048 0.7006
O 0.1142 0.1834 0.0417
O 0.2751 0.8498 0.3560
O 0.7751 0.1502 0.1440
O 0.6142 0.8166 0.4583
O 0.7321 0.4952 0.7994
O 0.9388 0.8707 0.4627
O 0.5543 0.7352 0.6752
O 0.7601 0.0587 0.3249
O 0.2631 0.2034 0.2214
O 0.2840 0.9066 0.5417
O 0.7172 0.4080 0.9957
O 0.8853 0.7460 0.6635
O 0.3885 0.5890 0.8666
O 0.9369 0.4338 0.1009
O 0.0631 0.5662 0.8991
O 0.6115 0.4110 0.1334
O 0.1147 0.2540 0.3365
O 0.2828 0.5920 0.0043
O 0.7160 0.0934 0.4583
O 0.7369 0.7966 0.7786
O 0.2399 0.9413 0.6751
O 0.4457 0.2648 0.3248
O 0.0612 0.1293 0.5373
O 0.2679 0.5048 0.2006
O 0.3858 0.1834 0.5417
O 0.2249 0.8498 0.8560
O 0.7249 0.1502 0.6440
O 0.7679 0.4952 0.2994
O 0.8858 0.8166 0.9583
O 0.5612 0.8707 0.9627
O 0.9457 0.7352 0.1752
O 0.7399 0.0587 0.8249
O 0.2369 0.2034 0.7214
O 0.2160 0.9066 0.0417
O 0.7828 0.4080 0.4957
O 0.6147 0.7460 0.1635
O 0.1115 0.5890 0.3666
O 0.5631 0.4338 0.6009

5.
Entry from Materials Project: a geometry-optimized LiMn3P4O16 structure (GGA+U).

Computed properties:
- Total energy after the MP2020 corrections: -0.57043 Ry per atom
- E_tot: -7.0946 eV/atom
- Energy relative to the elements: -56.05 eV/f.u.

Lattice parameters (Å, degrees): 5.9100 4.8060 9.8532 89.10 90.00 90.00
Sites, in units of the cell vectors:
Li 0.5000 0.9559 0.7296
Mn 0.0000 0.0642 0.2793
Mn 0.0000 0.4652 0.7754
Mn 0.5000 0.5511 0.2147
P 0.5000 0.0814 0.4030
P 0.5000 0.4206 0.9073
P 0.0000 0.5927 0.0914
P 0.0000 0.9029 0.6001
O 0.5000 0.1341 0.5515
O 0.2982 0.2345 0.3254
O 0.7018 0.2345 0.3254
O 0.0000 0.2175 0.6230
O 0.0000 0.2750 0.1115
O 0.5000 0.3224 0.0593
O 0.2897 0.2872 0.8361
O 0.7103 0.2872 0.8361
O 0.0000 0.6730 0.9400
O 0.7976 0.7346 0.1663
O 0.2024 0.7346 0.1663
O 0.5000 0.7349 0.8971
O 0.5000 0.7671 0.3752
O 0.8030 0.7410 0.6724
O 0.1970 0.7410 0.6724
O 0.0000 0.8531 0.4460

6.
Entry from Materials Project: a geometry-optimized Li2MnP2O8 structure (GGA+U).

Computed properties:
- Relative energy among the computed polymorphs: 0.034 eV/atom
- Total energy after the MP2020 corrections: -0.53934 Ry per atom
- E_tot: -6.7870 eV/atom
- Energy relative to the elements: -32.00 eV/f.u.

Lattice parameters (Å, degrees): 16.9098 4.8493 6.9635 84.12 90.00 90.00
Sites, in units of the cell vectors:
Li 0.6127 0.9395 0.7046
Li 0.3849 0.5148 0.7075
Li 0.1127 0.0605 0.2954
Li 0.9458 0.0304 0.0664
Li 0.1925 0.5480 0.1130
Li 0.6925 0.4520 0.8870
Li 0.8849 0.4852 0.2925
Li 0.4458 0.9696 0.9336
Mn 0.1292 0.0594 0.7507
Mn 0.8684 0.4478 0.7364
Mn 0.6292 0.9406 0.2493
Mn 0.3684 0.5522 0.2636
P 0.4629 0.0184 0.4661
P 0.7882 0.9070 0.9739
P 0.7126 0.4053 0.4726
P 0.0384 0.5150 0.9538
P 0.5384 0.4850 0.0462
P 0.9629 0.9816 0.5339
P 0.2882 0.0930 0.0261
P 0.2126 0.5947 0.5274
O 0.1952 0.7396 0.7134
O 0.9257 0.1143 0.7064
O 0.6952 0.2604 0.2866
O 0.4257 0.8857 0.2936
O 0.0558 0.9889 0.5471
O 0.0706 0.3876 0.7748
O 0.1941 0.2757 0.5680
O 0.2983 0.7728 0.0856
O 0.5706 0.6124 0.2252
O 0.4422 0.8793 0.6637
O 0.5744 0.6147 0.8600
O 0.8462 0.8092 0.1296
O 0.3462 0.1908 0.8704
O 0.0557 0.8359 0.9335
O 0.5558 0.0111 0.4529
O 0.1709 0.7214 0.3483
O 0.6987 0.8655 0.0285
O 0.9357 0.6700 0.5555
O 0.3050 0.6083 0.4964
O 0.1987 0.1345 0.9715
O 0.8050 0.3916 0.5036
O 0.4457 0.5288 0.0403
O 0.0744 0.3853 0.1400
O 0.9457 0.4712 0.9597
O 0.7963 0.7444 0.7905
O 0.2963 0.2556 0.2095
O 0.4357 0.3300 0.4445
O 0.5557 0.1641 0.0665
O 0.6941 0.7243 0.4320
O 0.6709 0.2786 0.6517
O 0.9422 0.1207 0.3363
O 0.7983 0.2272 0.9144

7.
Entry from Materials Project: a geometry-optimized LiMn2P2O8 structure (GGA+U).

Computed properties:
- Relative energy among the computed polymorphs: 0.000 eV/atom
- Total energy after the MP2020 corrections: -0.58596 Ry per atom
- E_tot: -7.2930 eV/atom
- Energy relative to the elements: -33.00 eV/f.u.

Lattice parameters (Å, degrees): 6.1499 10.1778 4.8736 89.98 90.17 90.02
Sites, in units of the cell vectors:
Li 0.2599 0.7946 0.7484
Li 0.7417 0.2963 0.2475
Mn 0.0028 0.5147 0.7063
Mn 0.4946 0.0800 0.7923
Mn 0.5045 0.5786 0.2105
Mn 0.9969 0.0139 0.2960
P 0.0067 0.6999 0.1697
P 0.5027 0.3936 0.6713
P 0.4973 0.8955 0.3294
P 0.9934 0.1989 0.8296
O 0.9972 0.3450 0.9180
O 0.0199 0.6862 0.4846
O 0.1864 0.1214 0.9581
O 0.2104 0.6394 0.0193
O 0.2949 0.9610 0.4778
O 0.3079 0.4714 0.5462
O 0.4999 0.2488 0.5739
O 0.5176 0.4043 0.9850
O 0.4830 0.9075 0.0151
O 0.4990 0.7515 0.4265
O 0.6918 0.9738 0.4547
O 0.7051 0.4581 0.5218
O 0.7898 0.1371 0.9789
O 0.8137 0.6225 0.0416
O 0.9811 0.1850 0.5145
O 0.0017 0.8467 0.0828

8.
Entry from Materials Project: a geometry-optimized Li5MnP3O11 structure (GGA+U).

Computed properties:
- Total energy after the MP2020 corrections: -0.52331 Ry per atom
- E_tot: -6.6588 eV/atom
- Energy relative to the elements: -53.03 eV/f.u.

Lattice parameters (Å, degrees): 5.3780 8.5745 9.6337 84.51 88.69 84.35
Sites, in units of the cell vectors:
Li 0.7782 0.6630 0.6611
Li 0.7127 0.3782 0.1670
Li 0.6809 0.6147 0.3204
Li 0.8282 0.3797 0.8465
Li 0.4887 0.9956 0.1591
Li 0.5113 0.0044 0.8409
Li 0.1718 0.6203 0.1535
Li 0.3191 0.3853 0.6796
Li 0.2873 0.6218 0.8330
Li 0.2218 0.3370 0.3389
Mn 0.0000 0.0000 0.0000
Mn 0.5000 0.0000 0.5000
P 0.9624 0.0473 0.6885
P 0.7776 0.7023 0.9847
P 0.7301 0.3276 0.5217
P 0.2699 0.6724 0.4783
P 0.2224 0.2977 0.0153
P 0.0376 0.9527 0.3115
O 0.0484 0.7416 0.9404
O 0.9475 0.1845 0.5598
O 0.8720 0.1307 0.8178
O 0.7926 0.6003 0.1278
O 0.8199 0.3997 0.3810
O 0.7622 0.0161 0.3076
O 0.7720 0.9313 0.6623
O 0.7137 0.4322 0.6425
O 0.6597 0.6169 0.8710
O 0.6303 0.8649 0.0052
O 0.5211 0.7462 0.4837
O 0.4789 0.2538 0.5163
O 0.3697 0.1351 0.9948
O 0.3403 0.3831 0.1290
O 0.2863 0.5678 0.3575
O 0.2280 0.0687 0.3377
O 0.2378 0.9839 0.6924
O 0.1801 0.6003 0.6190
O 0.2074 0.3997 0.8722
O 0.1280 0.8693 0.1822
O 0.0525 0.8155 0.4402
O 0.9516 0.2584 0.0596

- Among the records above, which one has the lowest total energy after the MP2020 corrections?
  LiMn2P2O8